No. 1
Compound: Ca3UO6
Source: the Materials Project database
Functional: GGA-PBE
Structure: relaxed

* polymorph energy (0 for the lowest one): 0.000 eV per atom
* calculated density: 4.8 g cm⁻³
* ΔE_f: -36.198 eV/f.u.

a b c (Å): 6.7872 6.7872 6.7872
angles (deg): 91.23 91.23 91.23
Closest atoms and distances in Å follow each position.
Fractional positions:
Ca 0.2504 0.0602 0.5558  6 O 2.32-2.52
Ca 0.9398 0.4442 0.7496  6 O 2.32-2.52
O 0.5416 0.2059 0.4131  1 U 2.10, 1 Ca 2.33
O 0.4584 0.7941 0.5869  1 U 2.10, 1 Ca 2.33
O 0.5869 0.4584 0.7941  1 U 2.10, 1 Ca 2.33
O 0.9263 0.2936 0.0636  1 U 2.10, 1 Ca 2.32
Ca 0.5558 0.2504 0.0602  6 O 2.32-2.52
O 0.4131 0.5416 0.2059  1 U 2.10, 1 Ca 2.33
O 0.7064 0.9364 0.0737  1 U 2.10, 1 Ca 2.32
O 0.2059 0.4131 0.5416  1 U 2.10, 1 Ca 2.33
U 0.0000 0.0000 0.0000  6 O 2.10
O 0.0737 0.7064 0.9364  1 U 2.10, 1 Ca 2.32
O 0.7941 0.5869 0.4584  1 U 2.10, 1 Ca 2.33
Ca 0.0602 0.5558 0.2504  6 O 2.32-2.52
O 0.2936 0.0636 0.9263  1 U 2.10, 1 Ca 2.32
O 0.9364 0.0737 0.7064  1 U 2.10, 1 Ca 2.32
O 0.0636 0.9263 0.2936  1 U 2.10, 1 Ca 2.32
Ca 0.4442 0.7496 0.9398  6 O 2.32-2.52
U 0.5000 0.5000 0.5000  6 O 2.10
Ca 0.7496 0.9398 0.4442  6 O 2.32-2.52

***

No. 2
Compound: SmInNi
Source: the Materials Project database
Functional: GGA-PBE
Structure: relaxed

* calculated density: 8.4 g cm⁻³
* ΔE_f: -1.415 eV/f.u.

a b c (Å): 3.9164 7.5184 7.5184
angles (deg): 120.00 90.00 90.00
Closest atoms and distances in Å follow each position.
Fractional positions:
In 0.0000 0.0000 0.2497  4 Ni 2.71-2.87
Ni 0.0000 0.6667 0.3333  3 In 2.87, 6 Sm 2.99
In 0.0000 0.7503 0.7503  4 Ni 2.71-2.87
Sm 0.5000 0.5864 0.0000  5 Ni 2.99-3.11, 6 In 3.20-3.35
Sm 0.5000 0.4136 0.4136  5 Ni 2.99-3.11, 6 In 3.20-3.35
Ni 0.5000 0.0000 0.0000  6 In 2.71
In 0.0000 0.2497 0.0000  4 Ni 2.71-2.87
Ni 0.0000 0.3333 0.6667  3 In 2.87, 6 Sm 2.99
Sm 0.5000 0.0000 0.5864  5 Ni 2.99-3.11, 6 In 3.20-3.35

***

No. 3
Compound: MgCd2CuP2O8
Source: the Materials Project database
Functional: GGA-PBE
Structure: relaxed

* magnetic moment: 0.0 μB per formula unit
* calculated density: 4.0 g cm⁻³
* ΔE_f: -29.059 eV/f.u.

a b c (Å): 5.0766 5.5173 7.8397
angles (deg): 78.88 84.47 77.38
Closest atoms and distances in Å follow each position.
Fractional positions:
O 0.1474 0.5831 0.6961  1 P 1.54
Mg 0.8467 0.3929 0.0063  4 O 1.96-2.09
Cu 0.0859 0.9009 0.0314  3 O 1.96-2.05
O 0.2189 0.2175 0.9506  1 P 1.58
O 0.7559 0.7688 0.0401  1 P 1.60
O 0.6547 0.8485 0.3577  1 P 1.54
O 0.6063 0.4272 0.8184  1 P 1.57
O 0.4289 0.1536 0.6465  1 P 1.56
P 0.6293 0.6766 0.2297  4 O 1.54-1.60
Cd 0.7212 0.7845 0.6401  4 O 2.22-2.34
Cd 0.2682 0.2511 0.3603  4 O 2.38-2.62
O 0.7907 0.3939 0.2727  1 P 1.58
O 0.3311 0.6610 0.2129  1 P 1.55
P 0.3480 0.3452 0.7743  4 O 1.54-1.58

***

No. 4
Compound: Al12Fe7
Source: the Materials Project database
Functional: GGA-PBE
Structure: relaxed

* calculated density: 4.6 g cm⁻³
* ΔE_f: -5.953 eV/f.u.

a b c (Å): 4.7949 6.3896 8.7090
angles (deg): 87.82 74.76 82.88
Closest atoms and distances in Å follow each position.
Fractional positions:
Fe 0.7732 0.6475 0.1200  8 Al 2.44-2.56, 1 Fe 2.68
Al 0.9901 0.7063 0.8274  5 Fe 2.46-2.52, 2 Al 2.63-2.75
Al 0.4916 0.0080 0.1655  3 Fe 2.48-2.52, 4 Al 2.73-2.77
Al 0.5862 0.5469 0.6993  5 Fe 2.44-2.68
Al 0.5084 0.9920 0.8345  3 Fe 2.48-2.52, 4 Al 2.73-2.77
Al 0.6898 0.3369 0.9675  4 Fe 2.50-2.56, 5 Al 2.57-2.78
Al 0.9586 0.8743 0.2906  5 Fe 2.47-2.59, 2 Al 2.72-2.73
Al 0.3102 0.6631 0.0325  4 Fe 2.50-2.56, 5 Al 2.57-2.78
Al 0.4016 0.8127 0.4768  5 Fe 2.50-2.63, 2 Al 2.76-2.78
Al 0.0414 0.1257 0.7094  5 Fe 2.47-2.59, 2 Al 2.72-2.73
Fe 0.8345 0.5191 0.4140  3 Fe 2.44-2.62, 7 Al 2.46-2.68
Al 0.4138 0.4531 0.3007  5 Fe 2.44-2.68
Fe 0.1395 0.1562 0.4174  8 Al 2.47-2.63, 3 Fe 2.59-2.70
Al 0.5984 0.1873 0.5232  5 Fe 2.50-2.63, 2 Al 2.76-2.78
Fe 0.2268 0.3525 0.8800  8 Al 2.44-2.56, 1 Fe 2.68
Fe 0.1655 0.4809 0.5860  3 Fe 2.44-2.62, 7 Al 2.46-2.68
Al 0.0099 0.2937 0.1726  5 Fe 2.46-2.52, 2 Al 2.63-2.75
Fe 0.0000 0.0000 0.0000  8 Al 2.46-2.59, 2 Fe 2.68
Fe 0.8605 0.8438 0.5826  8 Al 2.47-2.63, 3 Fe 2.59-2.70

***

No. 5
Compound: Sm3Si2Cl5O6
Source: the Materials Project database
Functional: GGA-PBE
Structure: relaxed

* magnetic moment: 0.0 μB per formula unit
* calculated density: 3.9 g cm⁻³
* ΔE_f: -48.472 eV/f.u.

a b c (Å): 7.5573 7.5573 11.9944
angles (deg): 80.71 80.71 89.35
Closest atoms and distances in Å follow each position.
Fractional positions:
Sm 0.4147 0.9183 0.3315  2 O 2.29
Si 0.8911 0.1811 0.8578  4 O 1.62-1.66
Sm 0.0000 0.5000 0.0000  4 O 2.41-2.42
Sm 0.5853 0.0817 0.6685  2 O 2.29
Sm 0.5000 0.0000 0.0000  4 O 2.41-2.42
Cl 0.8923 0.3197 0.5792  3 Sm 2.90-2.92, 2 O 3.22-3.23
Si 0.8189 0.1089 0.1422  4 O 1.62-1.66
Si 0.1089 0.8189 0.1422  4 O 1.62-1.66
O 0.8533 0.1467 0.0000  2 Si 1.66
Cl 0.3829 0.3829 0.6412  2 Sm 2.73
Cl 0.1077 0.6803 0.4208  3 Sm 2.90-2.92, 2 O 3.22-3.23
Si 0.1811 0.8911 0.8578  4 O 1.62-1.66
O 0.9531 0.9531 0.1875  2 Si 1.63
O 0.8700 0.3023 0.1723  1 Si 1.63
O 0.6977 0.1300 0.8277  1 Si 1.63
Cl 0.7699 0.7699 0.6676  2 Sm 2.73
Cl 0.6803 0.1077 0.4208  3 Sm 2.90-2.92, 2 O 3.22-3.23
O 0.9584 0.3893 0.8280  1 Si 1.62
Sm 0.9183 0.4147 0.3315  2 O 2.29
Cl 0.2301 0.2301 0.3324  2 Sm 2.73
O 0.0416 0.6107 0.1720  1 Si 1.62
Cl 0.3172 0.3172 0.9961  2 Sm 2.75
Cl 0.3197 0.8923 0.5792  3 Sm 2.90-2.92, 2 O 3.22-3.23
O 0.1467 0.8533 0.0000  2 Si 1.66
O 0.0469 0.0469 0.8125  2 Si 1.63
O 0.3023 0.8700 0.1723  1 Si 1.63
Cl 0.6171 0.6171 0.3588  2 Sm 2.73
O 0.1300 0.6977 0.8277  1 Si 1.63
Sm 0.0817 0.5853 0.6685  2 O 2.29
Cl 0.6828 0.6828 0.0039  2 Sm 2.75
O 0.6107 0.0416 0.1720  1 Si 1.62
O 0.3893 0.9584 0.8280  1 Si 1.62

***

No. 6
Compound: BaPb2IF5
Source: the Materials Project database
Functional: GGA-PBE
Structure: relaxed

* magnetic moment: 0.0 μB per formula unit
* calculated density: 6.8 g cm⁻³
* ΔE_f: -25.526 eV/f.u.

a b c (Å): 6.1302 6.1302 10.1202
angles (deg): 90.00 90.00 90.00
Closest atoms and distances in Å follow each position.
Fractional positions:
Pb 0.0000 0.5000 0.7356  5 F 2.32-2.44
F 0.7640 0.2640 0.1802  2 Pb 2.41-2.44
I 0.5000 0.5000 0.5000  8 Pb 3.64-3.88, 8 F 3.90
Pb 0.5000 0.0000 0.2644  5 F 2.32-2.44
I 0.0000 0.0000 0.5000  8 Pb 3.64-3.88, 8 F 3.90
F 0.2360 0.7360 0.1802  2 Pb 2.41-2.44
Ba 0.0000 0.0000 0.0000  12 F 2.83-3.09
F 0.2640 0.2360 0.8198  2 Pb 2.41-2.44
F 0.7360 0.7640 0.8198  2 Pb 2.41-2.44
F 0.2360 0.2640 0.1802  2 Pb 2.41-2.44
Pb 0.0000 0.5000 0.3064  4 F 2.41
F 0.5000 0.0000 0.0354  1 Pb 2.32
F 0.2640 0.7640 0.8198  2 Pb 2.41-2.44
F 0.7640 0.7360 0.1802  2 Pb 2.41-2.44
F 0.7360 0.2360 0.8198  2 Pb 2.41-2.44
Pb 0.5000 0.0000 0.6936  4 F 2.41
Ba 0.5000 0.5000 0.0000  12 F 2.83-3.09
F 0.0000 0.5000 0.9646  1 Pb 2.32